P:
26
Lattice="-2.364 1.803 4.097 -7.081 -4.387 -2.155 5.119 -4.940 5.127" Properties=species:S:1:pos:R:3 comment="BaCo2As2O8, optimized geometry, DFT PBE+U" total_magnetization_mub_per_cell=0.00 rho_g_cm3=4.93 pbc="T T T"
O -4.585 -3.291 3.982
O 2.018 -5.930 4.847
O -1.386 -2.638 1.340
As -2.153 -5.979 1.389
O -3.483 -0.860 2.573
O 1.317 -2.083 1.677
O -2.941 -4.885 5.730
O -3.280 -7.243 1.295
Co -2.970 -2.885 2.684
O -0.009 -4.206 5.952
Co 0.772 -6.257 3.199
O 2.695 -3.651 6.289
O 0.259 -4.232 3.088
Co -2.734 -3.069 -0.227
O -0.844 -6.662 4.497
As 0.191 -3.348 1.583
O -7.021 -3.872 0.780
O -4.318 -3.317 1.117
Ba 0.000 0.000 0.000
Ba 1.377 -1.568 4.612
As 1.568 -4.916 6.196
O -2.603 -4.965 2.737
O -6.345 -1.593 2.222
Co -1.357 -4.637 4.385
O -1.723 -2.558 4.332
As -5.895 -2.607 0.874

---

Q:
13
Lattice="4.768 0.133 7.087 2.140 4.471 7.173 0.030 0.191 8.621" Properties=species:S:1:pos:R:3 comment="BaCo2As2O8, optimized geometry, DFT PBE+U" spacegroup="No. 1" total_magnetization_mub_per_cell=6.00 rho_g_cm3=5.01 pbc="T T T"
O 3.809 3.553 9.777
Co 5.734 3.979 19.041
O 2.890 4.087 12.584
O 1.558 2.083 10.798
Ba 4.798 0.329 15.709
As 2.988 2.015 9.801
O 4.048 0.704 10.298
O 3.137 1.236 13.101
O 4.458 3.110 14.665
O 5.375 2.698 12.079
Co 1.200 0.825 3.848
O 2.479 1.695 8.213
As 3.950 2.779 13.081

---

Most stable of them? P.

---

P:
56
Lattice="1.477 -1.098 -9.839 9.191 -3.479 1.903 2.737 -8.821 -3.587" Properties=species:S:1:pos:R:3 comment="Na5Co2AsC4O16, optimized geometry, DFT PBE+U" spacegroup="No. 15" total_magnetization_mub_per_cell=16.00 rho_g_cm3=2.88 pbc="T T T"
O 4.800 -3.151 -9.125
Na 9.202 -5.477 -0.018
As 10.257 -9.791 -2.289
C 8.519 -8.043 -7.874
O 4.506 -4.134 -3.442
Na 2.262 -3.540 -4.394
O 7.076 -9.279 -10.516
Na 10.003 -6.181 -5.634
O 8.605 -10.248 -2.398
O 7.785 -6.616 -1.739
Na 7.820 -4.845 -8.311
O 5.557 -8.446 -5.719
C 7.728 -3.810 -5.202
O 9.518 -11.343 -6.114
O 6.636 -3.123 -5.295
O 11.486 -12.128 -8.154
Na 9.417 -9.988 -10.403
Co 5.334 -2.289 -3.968
O 10.425 -8.707 -0.948
Na 3.988 -3.411 -1.120
O 9.263 -5.966 -3.309
Co 6.702 -6.699 -5.761
O 4.141 -7.433 -8.214
Na 3.401 -7.218 -5.889
Co 5.964 -6.150 -0.842
O 3.887 -2.056 -5.408
O 8.898 -9.265 -8.080
O 6.769 -10.276 -6.227
O 2.218 -2.185 -9.565
O 8.275 -7.617 -6.677
O 5.619 -6.783 -9.784
O 4.938 -6.191 -2.648
O 4.946 -9.727 -9.938
O 6.329 -4.120 -1.007
C 5.256 -6.842 -8.531
C 8.149 -6.556 -2.991
O 5.974 -6.260 -7.632
Na 4.203 -7.922 -11.504
C 7.181 -3.448 -1.725
As 3.148 -3.608 -9.234
O 10.926 -9.030 -3.676
O 7.847 -4.953 -5.803
C 6.224 -9.951 -9.798
O 1.918 -1.271 -3.369
Na 11.143 -9.859 -7.128
O 2.479 -4.369 -7.847
Na 5.585 -8.554 -3.212
O 8.459 -3.671 -1.584
O 7.431 -7.138 -3.891
C 5.677 -9.589 -6.321
O 8.466 -7.207 -8.874
O 2.980 -4.692 -10.574
O 5.130 -5.782 -4.845
C 4.886 -5.356 -3.649
Co 0.738 -0.549 -4.919
O 11.187 -11.213 -1.957

---

Q:
56
Lattice="0.000 7.065 7.110 7.055 0.000 7.110 7.055 7.065 0.000" Properties=species:S:1:pos:R:3 comment="Na5Co2AsC4O16, optimized geometry, DFT PBE+U" spacegroup="No. 22" total_magnetization_mub_per_cell=11.20 rho_g_cm3=2.87 pbc="T T T"
O 7.328 12.061 8.565
Na 10.096 7.065 7.110
Na 7.568 10.597 10.665
C 12.857 8.310 8.350
O 8.568 9.202 3.780
C 8.309 8.310 12.980
O 4.997 3.801 5.642
O 5.564 7.328 2.033
Na 10.583 7.576 10.665
O 5.543 4.927 3.780
O 9.113 10.328 5.642
O 10.309 5.606 9.196
C 12.857 12.884 12.980
O 9.600 9.615 9.652
Co 5.307 5.315 1.808
O 8.547 7.328 12.187
O 8.095 8.110 7.993
Co 1.748 1.749 1.808
Na 13.598 10.597 10.665
Na 10.583 10.597 7.628
C 4.769 4.766 4.799
O 9.600 11.579 11.678
Co 1.748 5.315 5.302
Co 5.307 1.749 5.302
O 2.063 8.543 6.871
O 11.566 11.579 9.652
As 10.583 10.597 10.665
O 6.016 8.110 6.227
O 8.547 6.801 2.033
Na 4.015 7.065 7.110
C 8.309 12.884 8.350
As 7.055 7.065 7.110
O 5.564 6.801 12.187
Na 10.583 10.597 13.702
O 9.113 3.801 8.578
O 2.063 5.586 7.350
O 11.566 9.615 11.678
C 9.342 9.363 4.799
O 4.997 10.328 8.578
Na 7.055 4.023 7.110
O 6.783 2.068 8.565
Na 7.055 10.106 7.110
O 7.328 2.068 5.655
O 3.802 5.606 5.024
C 4.769 9.363 9.421
O 12.048 8.543 7.350
O 6.783 12.061 5.655
O 6.016 6.019 7.993
O 5.543 9.202 10.440
C 9.342 4.766 9.421
O 12.048 5.586 6.871
O 8.095 6.019 6.227
O 3.802 8.523 9.196
Na 10.583 13.618 10.665
O 8.568 4.927 10.440
O 10.309 8.523 5.024

---

Most stable of them? Q.

---

P:
56
Lattice="7.083 7.017 0.000 -7.083 7.017 0.000 0.000 6.962 7.040" Properties=species:S:1:pos:R:3 comment="Na5Ni2AsC4O16, optimized geometry, DFT PBE+U" spacegroup="No. 15" total_magnetization_mub_per_cell=7.71 rho_g_cm3=2.90 pbc="T T T"
Ni 0.000 7.017 0.000
Ni -3.541 6.989 3.520
O 6.283 7.771 0.756
C 3.029 11.013 4.042
Na 5.814 12.238 5.280
O -3.250 6.683 1.477
O 0.318 10.156 5.578
O 1.510 13.727 3.185
O 0.285 9.048 0.273
C 3.029 13.463 6.518
C 0.526 13.505 4.001
O -1.510 17.208 6.705
C -3.029 7.532 0.522
O 4.366 7.718 2.773
Na -5.814 8.757 1.760
Na -1.809 4.793 1.669
O 2.004 10.898 3.277
O 3.250 14.312 5.563
As -5.282 12.238 5.280
O -6.283 13.225 6.284
O 0.318 14.321 4.982
C -0.526 10.024 0.481
Na 1.809 8.274 5.189
O -3.883 8.484 0.289
C -0.526 7.491 3.039
O -2.004 14.379 6.797
O -0.285 11.948 6.768
C -3.029 9.982 2.998
O 3.250 10.164 4.997
O 3.883 11.965 3.809
Na -1.809 12.722 1.851
O 6.283 9.744 2.764
O -0.285 12.529 3.793
O -1.510 7.269 3.855
O -2.004 10.098 3.763
Na -1.806 15.662 4.807
Ni 3.541 3.508 0.000
O 1.510 3.788 0.335
O -6.283 11.252 4.276
Na 1.809 16.203 5.371
Na 1.806 5.334 2.233
O -4.366 13.278 4.267
Ni 0.000 10.498 3.520
O 3.883 12.511 6.751
O 4.366 9.797 0.747
Na 1.806 12.181 1.287
O -0.318 10.840 1.462
O -4.366 11.199 6.293
O 0.285 8.466 3.248
C 0.526 10.972 6.559
As 5.282 8.757 1.760
O -0.318 6.675 2.058
O -3.250 10.831 2.043
O -3.883 9.030 3.231
Na -1.806 8.815 5.753
O 2.004 6.617 0.243

---

Q:
56
Lattice="4.532 -7.786 -4.246 -4.044 -9.074 0.603 -3.926 -4.220 -8.092" Properties=species:S:1:pos:R:3 comment="Na5Ni2AsC4O16, optimized geometry, DFT PBE+U" spacegroup="No. 43" total_magnetization_mub_per_cell=12.00 rho_g_cm3=2.92 pbc="T T T"
O -4.339 -10.027 -2.788
O -0.052 -8.201 -7.351
Ni 0.354 -12.657 -2.749
O -0.399 -12.948 -11.368
C -2.336 -19.256 -9.296
O 1.203 -7.560 -2.744
O 2.447 -9.765 -6.773
C -0.940 -17.752 -6.409
Na -1.507 -9.926 -9.841
O -1.261 -13.800 -3.372
O -2.670 -14.182 -5.066
Na -4.747 -13.694 -6.149
O -4.664 -9.220 -5.672
Ni 0.447 -10.216 -7.088
Ni -3.884 -10.868 -4.646
C -2.306 -13.463 -4.053
O -3.396 -11.689 -6.528
Na 2.428 -10.593 -4.457
O -0.523 -15.314 -8.493
O -3.426 -15.316 -7.622
O -1.198 -7.920 -1.384
Ni -1.585 -14.747 -6.760
Na -3.286 -13.784 -9.514
O 0.143 -9.922 -5.020
Na 0.769 -7.466 -5.135
As -3.381 -5.781 -7.543
O -1.595 -10.659 -7.391
C -2.271 -11.742 -7.170
O -2.053 -9.820 -4.555
Na 0.235 -12.941 -8.975
As -0.315 -6.831 -2.384
O 0.818 -12.217 -6.795
O -1.184 -6.640 -3.857
Na -3.019 -8.042 -2.990
C -3.969 -16.484 -7.771
O -2.512 -18.575 -10.370
C -0.858 -10.222 -4.254
O -3.003 -12.453 -3.676
O -1.942 -15.703 -10.192
O 1.245 -12.665 -4.639
O -4.450 -16.837 -8.922
O -0.652 -10.866 -3.144
O -6.443 -13.849 -7.932
Na -2.427 -8.514 -6.581
C 0.750 -13.006 -5.785
O -1.393 -16.635 -5.969
O -2.515 -6.099 -6.089
Na -5.299 -10.488 -7.700
O -0.013 -5.396 -1.483
O 0.708 -10.501 -9.141
O 0.232 -14.181 -5.934
O -5.683 -11.895 -4.758
O -1.857 -12.875 -7.654
Na -2.558 -11.332 -1.635
C -0.880 -16.021 -9.519
O -3.612 -7.281 -8.357

---

Most stable of them? P.